--- i ---
The following is a PBE with a Hubbard U calculation of Li3CrPCO7 after structural relaxation, from the Materials Project.

Unit cell a=9.540 b=6.490 c=9.980 alpha=90.00 beta=116.29 gamma=90.00
Atoms (fractional coordinates):
Li1 0.111 0.250 0.192
Li2 0.111 0.250 0.692
Li3 0.294 0.020 0.014
Li4 0.294 0.480 0.514
Li5 0.357 0.742 0.316
Li6 0.357 0.758 0.816
Li7 0.643 0.242 0.184
Li8 0.643 0.258 0.684
Li9 0.706 0.520 0.486
Li10 0.706 0.980 0.986
Li11 0.889 0.750 0.308
Li12 0.889 0.750 0.808
Cr1 0.259 0.517 0.004
Cr2 0.259 0.983 0.504
Cr3 0.741 0.017 0.496
Cr4 0.741 0.483 0.996
P1 0.411 0.246 0.318
P2 0.411 0.254 0.818
P3 0.589 0.746 0.182
P4 0.589 0.754 0.682
C1 0.041 0.737 0.123
C2 0.041 0.763 0.623
C3 0.959 0.237 0.377
C4 0.959 0.263 0.877
O1 0.062 0.749 0.258
O2 0.062 0.751 0.758
O3 0.103 0.222 0.487
O4 0.103 0.278 0.987
O5 0.157 0.742 0.088
O6 0.157 0.758 0.588
O7 0.313 0.057 0.326
O8 0.313 0.443 0.826
O9 0.315 0.064 0.822
O10 0.315 0.436 0.322
O11 0.422 0.750 0.049
O12 0.422 0.750 0.549
O13 0.425 0.235 0.169
O14 0.425 0.265 0.669
O15 0.575 0.735 0.331
O16 0.575 0.765 0.831
O17 0.578 0.250 0.451
O18 0.578 0.250 0.951
O19 0.685 0.564 0.678
O20 0.685 0.936 0.178
O21 0.687 0.557 0.174
O22 0.687 0.943 0.674
O23 0.843 0.242 0.412
O24 0.843 0.258 0.912
O25 0.897 0.722 0.013
O26 0.897 0.778 0.513
O27 0.938 0.249 0.242
O28 0.938 0.251 0.742

* total moment: 16.00 μB/cell
* space-group type: No. 14

---

--- ii ---
The following is a PBE with a Hubbard U calculation of Li3CrPCO7 after structural relaxation, from the Materials Project.

Unit cell a=5.116 b=6.472 c=8.555 alpha=90.00 beta=91.94 gamma=90.00
Atoms (fractional coordinates):
Li1 0.031 0.000 0.497
Li2 0.440 0.676 0.313
Li3 0.446 0.897 0.978
Li4 0.554 0.397 0.022
Li5 0.560 0.176 0.687
Li6 0.969 0.500 0.503
Cr1 0.025 0.239 0.226
Cr2 0.975 0.739 0.774
P1 0.042 0.236 0.837
P2 0.958 0.736 0.163
C1 0.476 0.724 0.620
C2 0.524 0.224 0.380
O1 0.010 0.929 0.267
O2 0.076 0.552 0.263
O3 0.111 0.758 0.012
O4 0.230 0.743 0.575
O5 0.338 0.198 0.873
O6 0.352 0.196 0.485
O7 0.459 0.236 0.232
O8 0.541 0.736 0.768
O9 0.648 0.696 0.515
O10 0.662 0.698 0.127
O11 0.770 0.243 0.425
O12 0.889 0.258 0.988
O13 0.924 0.052 0.737
O14 0.990 0.429 0.733

* space-group type: No. 4

---

Which of them is the most stable? Correct choice: ii.